No. 1
Below is a relaxed WO3 crystal, with properties calculated at the GGA+U level.

```
WO3
1.0
12.516 0.758 0.987
0.710 12.026 0.382
0.894 0.358 11.474
O W
75 25
direct
0.769 0.678 0.024 O
0.122 0.163 0.882 O
0.030 0.347 0.433 O
0.482 0.222 0.902 O
0.584 0.249 0.447 O
0.333 0.805 0.715 O
0.666 0.123 0.611 O
0.920 0.156 0.751 O
0.868 0.842 0.243 O
0.217 0.998 0.362 O
0.500 0.421 0.612 O
0.455 0.431 0.389 O
0.243 0.370 0.306 O
0.622 0.452 0.227 O
0.307 0.340 0.530 O
0.332 0.606 0.657 O
0.529 0.704 0.785 O
0.866 0.861 0.808 O
0.121 0.347 0.014 O
0.680 0.250 0.794 O
0.823 0.364 0.286 O
0.319 0.950 0.141 O
0.206 0.730 0.523 O
0.687 0.571 0.550 O
0.461 0.206 0.665 O
0.118 0.037 0.100 O
0.234 0.387 0.749 O
0.136 0.553 0.914 O
0.020 0.938 0.335 O
0.856 0.398 0.795 O
0.138 0.512 0.475 O
0.280 0.178 0.042 O
0.179 0.798 0.217 O
0.120 0.783 0.798 O
0.240 0.513 0.100 O
0.940 0.518 0.042 O
0.335 0.892 0.509 O
0.759 0.785 0.462 O
0.814 0.991 0.448 O
0.438 0.904 0.908 O
0.996 0.780 0.625 O
0.920 0.178 0.395 O
0.537 0.527 0.962 O
0.736 0.171 0.290 O
0.117 0.588 0.686 O
0.515 0.747 0.540 O
0.930 0.568 0.598 O
0.651 0.817 0.894 O
0.084 0.251 0.659 O
0.045 0.646 0.135 O
0.352 0.499 0.868 O
0.822 0.321 0.576 O
0.590 0.250 0.142 O
0.591 0.029 0.826 O
0.602 0.013 0.422 O
0.828 0.619 0.256 O
0.708 0.940 0.036 O
0.525 0.826 0.117 O
0.192 0.191 0.459 O
0.912 0.801 0.026 O
0.608 0.645 0.328 O
0.385 0.190 0.228 O
0.038 0.222 0.185 O
0.044 0.429 0.222 O
0.412 0.369 0.067 O
0.351 0.688 0.969 O
0.513 0.062 0.060 O
0.401 0.654 0.408 O
0.791 0.309 0.071 O
0.230 0.069 0.660 O
0.428 0.576 0.175 O
0.062 0.993 0.628 O
0.026 0.991 0.848 O
0.398 0.104 0.462 O
0.989 0.720 0.415 O
0.824 0.285 0.726 W
0.273 0.051 0.492 W
0.709 0.312 0.206 W
0.188 0.941 0.218 W
0.342 0.736 0.550 W
0.568 0.169 0.769 W
0.961 0.297 0.315 W
0.228 0.528 0.773 W
0.459 0.319 0.535 W
0.408 0.776 0.841 W
0.399 0.523 0.009 W
0.463 0.217 0.093 W
0.101 0.496 0.082 W
0.043 0.637 0.551 W
0.787 0.822 0.952 W
0.180 0.355 0.449 W
0.140 0.188 0.037 W
0.906 0.859 0.379 W
0.082 0.117 0.735 W
0.692 0.101 0.448 W
0.651 0.692 0.468 W
0.020 0.876 0.744 W
0.555 0.920 0.999 W
0.896 0.651 0.115 W
0.497 0.554 0.303 W
```

Computed properties:
* formation energy: -1.959 eV/atom
* VASP energy: -728.5 eV for the cell shown
* symmetry: P1, No. 1

***

No. 2
Below is a relaxed WO2 crystal, with properties calculated at the GGA+U level.

```
WO2
1.0
1.577 -2.919 0.000
1.577 2.919 0.000
0.000 0.000 10.723
O W
4 2
direct
0.335 0.665 0.912 O
0.665 0.335 0.088 O
0.665 0.335 0.412 O
0.335 0.665 0.588 O
0.000 0.000 0.000 W
0.000 0.000 0.500 W
```

Computed properties:
* formation energy: -1.802 eV/atom
* VASP energy: -44.9 eV for the cell shown
* symmetry: Cmcm, No. 63

***

No. 3
Below is a relaxed WO3 crystal, with properties calculated at the GGA+U level.

```
WO3
1.0
-4.147 4.131 -4.797
-3.991 -6.210 -2.043
-5.180 1.362 5.508
O W
24 8
direct
0.499 0.530 0.216 O
0.716 0.535 0.497 O
0.002 0.532 0.715 O
0.282 0.242 0.225 O
0.285 0.964 0.997 O
0.284 0.465 0.503 O
0.785 0.485 0.996 O
0.000 0.970 0.787 O
0.501 0.470 0.784 O
0.500 0.031 0.715 O
0.998 0.468 0.285 O
0.215 0.515 0.004 O
0.219 0.742 0.275 O
0.715 0.036 0.003 O
0.782 0.757 0.224 O
0.718 0.758 0.775 O
0.719 0.257 0.275 O
0.786 0.985 0.504 O
0.218 0.243 0.776 O
0.281 0.743 0.725 O
0.214 0.015 0.496 O
0.000 0.030 0.213 O
0.500 0.969 0.285 O
0.781 0.258 0.725 O
0.748 0.016 0.267 W
0.248 0.982 0.235 W
0.250 0.481 0.265 W
0.250 0.483 0.767 W
0.252 0.984 0.733 W
0.752 0.018 0.765 W
0.750 0.517 0.233 W
0.750 0.519 0.735 W
```

Computed properties:
* formation energy: -2.181 eV/atom
* VASP energy: -240.2 eV for the cell shown
* symmetry: P-1, No. 2

***

No. 4
Below is a relaxed WO3 crystal, with properties calculated at the GGA+U level.

```
WO3
1.0
4.639 0.861 5.844
-5.896 -4.623 0.534
4.337 -5.830 -2.584
O W
18 6
direct
0.500 0.000 0.000 O
0.574 0.790 0.250 O
0.790 0.574 0.250 O
0.500 0.000 0.500 O
0.216 0.426 0.250 O
0.500 0.500 0.000 O
0.500 0.500 0.500 O
0.784 0.574 0.750 O
0.574 0.784 0.750 O
0.426 0.210 0.750 O
0.210 0.426 0.750 O
0.426 0.216 0.250 O
0.000 0.500 0.000 O
0.790 0.216 0.750 O
0.210 0.784 0.250 O
0.216 0.790 0.750 O
0.784 0.210 0.250 O
0.000 0.500 0.500 O
0.000 0.484 0.250 W
0.516 0.000 0.750 W
0.484 0.000 0.250 W
0.000 0.516 0.750 W
0.484 0.484 0.750 W
0.516 0.516 0.250 W
```

Computed properties:
* formation energy: -2.180 eV/atom
* VASP energy: -180.1 eV for the cell shown
* symmetry: P6_3/mcm, No. 193

***

No. 5
Below is a relaxed WO3 crystal, with properties calculated at the GGA+U level.

```
WO3
1.0
-5.854 -1.357 4.759
-1.353 -6.681 -3.515
4.782 -3.607 4.911
W O
8 24
direct
0.244 0.996 0.234 W
0.754 0.505 0.734 W
0.254 0.494 0.767 W
0.746 0.506 0.233 W
0.744 0.005 0.267 W
0.246 0.495 0.266 W
0.256 0.995 0.733 W
0.756 0.004 0.766 W
0.999 0.020 0.230 O
0.499 0.979 0.270 O
0.230 0.749 0.264 O
0.499 0.520 0.230 O
0.501 0.480 0.770 O
0.769 0.486 0.997 O
0.001 0.980 0.770 O
0.229 0.248 0.765 O
0.271 0.249 0.236 O
0.730 0.252 0.265 O
0.001 0.521 0.730 O
0.771 0.752 0.235 O
0.270 0.984 0.997 O
0.731 0.516 0.496 O
0.770 0.251 0.736 O
0.729 0.751 0.764 O
0.999 0.479 0.270 O
0.730 0.016 0.003 O
0.230 0.014 0.497 O
0.501 0.021 0.730 O
0.770 0.986 0.503 O
0.231 0.514 0.003 O
0.270 0.748 0.735 O
0.269 0.484 0.504 O
```

Computed properties:
* formation energy: -2.191 eV/atom
* VASP energy: -240.5 eV for the cell shown
* symmetry: P-1, No. 2

***

No. 6
Below is a relaxed WO2 crystal, with properties calculated at the GGA+U level.

```
WO2
1.0
11.809 -0.215 0.183
-0.224 11.366 -0.326
0.195 -0.325 11.676
O W
68 34
direct
0.833 0.733 0.527 O
0.479 0.324 0.885 O
0.906 0.153 0.593 O
0.777 0.631 0.962 O
0.130 0.391 0.204 O
0.078 0.237 0.061 O
0.278 0.705 0.650 O
0.059 0.169 0.405 O
0.688 0.901 0.398 O
0.208 0.092 0.272 O
0.343 0.500 0.790 O
0.074 0.414 0.457 O
0.128 0.649 0.357 O
0.829 0.164 0.072 O
0.715 0.385 0.309 O
0.205 0.952 0.678 O
0.073 0.845 0.235 O
0.117 0.218 0.666 O
0.728 0.255 0.698 O
0.890 0.608 0.279 O
0.959 0.728 0.073 O
0.449 0.375 0.098 O
0.868 0.944 0.999 O
0.072 0.743 0.566 O
0.328 0.545 0.242 O
0.757 0.394 0.882 O
0.657 0.852 0.962 O
0.113 0.386 0.852 O
0.283 0.578 0.480 O
0.433 0.613 0.048 O
0.125 0.022 0.926 O
0.332 0.770 0.323 O
0.255 0.738 0.949 O
0.368 0.091 0.110 O
0.252 0.316 0.341 O
0.935 0.282 0.253 O
0.506 0.600 0.578 O
0.650 0.490 0.115 O
0.473 0.827 0.142 O
0.417 0.883 0.805 O
0.538 0.033 0.289 O
0.744 0.173 0.413 O
0.707 0.016 0.819 O
0.639 0.246 0.146 O
0.634 0.817 0.671 O
0.020 0.074 0.193 O
0.787 0.444 0.535 O
0.962 0.398 0.681 O
0.900 0.886 0.711 O
0.944 0.459 0.032 O
0.342 0.384 0.591 O
0.078 0.718 0.807 O
0.640 0.494 0.695 O
0.506 0.447 0.388 O
0.376 0.868 0.533 O
0.960 0.101 0.830 O
0.561 0.298 0.531 O
0.755 0.805 0.178 O
0.118 0.585 0.125 O
0.351 0.115 0.460 O
0.553 0.130 0.955 O
0.941 0.961 0.404 O
0.171 0.919 0.433 O
0.304 0.149 0.733 O
0.892 0.607 0.720 O
0.280 0.342 0.981 O
0.545 0.055 0.572 O
0.547 0.662 0.280 O
0.405 0.216 0.016 W
0.104 0.679 0.981 W
0.606 0.883 0.237 W
0.130 0.082 0.768 W
0.245 0.812 0.796 W
0.709 0.036 0.003 W
0.382 0.083 0.281 W
0.807 0.783 0.027 W
0.115 0.416 0.029 W
0.632 0.253 0.853 W
0.351 0.024 0.598 W
0.844 0.055 0.707 W
0.017 0.679 0.234 W
0.044 0.531 0.788 W
0.991 0.088 0.014 W
0.405 0.293 0.433 W
0.200 0.483 0.347 W
0.073 0.983 0.334 W
0.363 0.557 0.622 W
0.252 0.330 0.742 W
0.572 0.878 0.820 W
0.625 0.471 0.521 W
0.015 0.288 0.544 W
0.646 0.918 0.545 W
0.236 0.757 0.474 W
0.933 0.742 0.636 W
0.789 0.282 0.202 W
0.554 0.386 0.230 W
0.404 0.475 0.954 W
0.795 0.437 0.708 W
0.673 0.175 0.546 W
0.417 0.684 0.211 W
0.788 0.470 0.037 W
0.102 0.230 0.251 W
```

Computed properties:
* formation energy: -1.516 eV/atom
* VASP energy: -734.1 eV for the cell shown
* symmetry: P1, No. 1